Entry 1:
A plane-wave DFT calculation with PBE+U was carried out for a relaxed LiFe8O8F8 crystal.

## Properties
Energy relative to the elements: -2.06 eV per atom

Cell: 9.6736 9.6158 3.0853 Å, 90.28 90.25 88.95°
Closest atoms and distances in Å follow each position.
Fractional coordinates of all 25 atoms:
O  0.1575  0.6543  0.0080  1 Li 1.89, 2 Fe 1.92-1.93
O  0.5894  0.3927  0.5020  3 Fe 1.93-1.96
O  0.8476  0.3487  0.9964  3 Fe 1.92-2.01
O  0.0981  0.4035  0.4943  3 Fe 1.90-1.99
O  0.1603  0.1536  0.9914  3 Fe 1.88-1.97
O  0.0861  0.8958  0.4860  3 Fe 1.98-2.07, 1 Li 2.04
O  0.9094  0.6133  0.5075  1 Li 1.93, 2 Fe 1.95-2.10
O  0.6429  0.6464  0.0140  3 Fe 1.93-1.94
F  0.3459  0.3539  0.9982  3 Fe 2.12-2.14
F  0.3473  0.8492  0.0050  3 Fe 2.13-2.17
F  0.4027  0.1146  0.4993  3 Fe 2.09-2.13
F  0.8322  0.8511  0.0023  1 Li 1.83
F  0.6014  0.8943  0.5038  3 Fe 2.09-2.10
F  0.9054  0.0982  0.4883  3 Fe 2.09-2.20
F  0.6648  0.1494  0.9951  3 Fe 2.10-2.17
F  0.4016  0.5967  0.5071  3 Fe 2.09-2.16
Fe  0.5173  0.4911  0.0031  3 O 1.93-1.94, 3 F 2.14-2.16
Fe  0.9998  0.4886  0.9922  5 O 1.98-2.16
Fe  0.7366  0.7208  0.5188  3 O 1.93-1.95, 1 F 2.10
Fe  0.7566  0.2746  0.4948  3 O 1.92-1.96
Fe  0.5039  0.0053  0.0016  6 F 2.09-2.15
Fe  0.2321  0.2571  0.4940  3 O 1.90-1.97, 2 F 2.12
Fe  0.0272  0.0136  0.9842  3 O 1.88-2.00, 1 F 2.09
Fe  0.2379  0.7415  0.5119  3 O 1.92-2.07, 2 F 2.09-2.13
Li  0.9888  0.7486  0.1256  1 F 1.83, 3 O 1.89-2.04


Entry 2:
A plane-wave DFT calculation with PBE+U was carried out for a relaxed CoTePb2O4 crystal.

## Properties
Energy relative to the elements: -1.14 eV per atom

Cell: 6.2149 6.1612 6.2149 Å, 131.09 125.31 76.62°
Closest atoms and distances in Å follow each position.
Fractional coordinates of all 8 atoms:
Pb  0.2432  0.7563  0.5131  4 O 2.40-2.41
Pb  0.7568  0.2437  0.4869  4 O 2.40-2.41
O  0.8572  0.8735  0.5390  1 Co 2.01
O  0.6655  0.1265  0.9838  1 Co 2.01
O  0.1428  0.1265  0.4610  1 Co 2.01
O  0.3345  0.8735  0.0162  1 Co 2.01
Co  0.0000  0.0000  0.0000  4 O 2.01
Te  0.5000  0.5000  0.0000  4 O 2.25


Entry 3:
A plane-wave DFT calculation with PBE+U was carried out for a relaxed TiV3P6O24 crystal.

## Properties
Energy relative to the elements: -2.66 eV per atom

Cell: 8.7543 8.7543 8.7543 Å, 58.51 58.51 58.51°
Closest atoms and distances in Å follow each position.
Fractional coordinates of all 34 atoms:
O  0.2884  0.0621  0.9194  1 P 1.53
O  0.7750  0.6443  0.0048  1 P 1.55
O  0.5046  0.1430  0.2766  1 P 1.55
O  0.2154  0.5693  0.4419  1 P 1.56
O  0.4419  0.2154  0.5693  1 P 1.56
O  0.0048  0.7750  0.6443  1 P 1.55
O  0.7849  0.4212  0.5670  1 P 1.53
O  0.9194  0.2884  0.0621  1 P 1.53
O  0.8634  0.7148  0.4978  1 P 1.52
O  0.5693  0.4419  0.2154  1 P 1.56
O  0.7161  0.9402  0.0713  1 P 1.57
O  0.4978  0.8634  0.7148  1 P 1.52
O  0.2209  0.3628  0.9940  1 P 1.52
O  0.5670  0.7849  0.4212  1 P 1.53
O  0.9940  0.2209  0.3628  1 P 1.52
O  0.4212  0.5670  0.7849  1 P 1.53
O  0.0713  0.7161  0.9402  1 P 1.57
O  0.3628  0.9940  0.2209  1 P 1.52
O  0.2766  0.5046  0.1430  1 P 1.55
O  0.1430  0.2766  0.5046  1 P 1.55
O  0.9402  0.0713  0.7161  1 P 1.57
O  0.7148  0.4978  0.8634  1 P 1.52
O  0.0621  0.9194  0.2884  1 P 1.53
O  0.6443  0.0048  0.7750  1 P 1.55
P  0.0320  0.7475  0.4697  4 O 1.52-1.56
P  0.2509  0.5331  0.9664  4 O 1.52-1.57
P  0.7475  0.4697  0.0320  4 O 1.52-1.56
P  0.4697  0.0320  0.7475  4 O 1.52-1.56
P  0.9664  0.2509  0.5331  4 O 1.52-1.57
P  0.5331  0.9664  0.2509  4 O 1.52-1.57
V  0.3596  0.3596  0.3596  6 O 1.87-1.92
V  0.6415  0.6415  0.6415  6 O 1.91-1.92
V  0.8602  0.8602  0.8602  6 O 1.87-1.93
Ti  0.1398  0.1398  0.1398  6 O 1.92-1.96


Entry 4:
A plane-wave DFT calculation with PBE+U was carried out for a relaxed Na2ErMoPO8 crystal.

## Properties
Energy relative to the elements: -2.78 eV per atom

Cell: 11.4775 11.4775 11.4775 Å, 144.99 116.06 75.03°
Closest atoms and distances in Å follow each position.
Fractional coordinates of all 52 atoms:
Na  0.7916  0.3503  0.4499  3 O 2.31-2.47
Na  0.2916  0.8417  0.4412  3 O 2.31-2.47
Na  0.4004  0.3417  0.0501  3 O 2.31-2.47
Na  0.0996  0.1497  0.9412  3 O 2.31-2.47
Na  0.2084  0.6497  0.5501  3 O 2.31-2.47
Na  0.7084  0.1583  0.5588  3 O 2.31-2.47
Na  0.5996  0.6583  0.9499  3 O 2.31-2.47
Na  0.9004  0.8503  0.0588  3 O 2.31-2.47
O  0.1419  0.0675  0.2231  1 P 1.56
O  0.8445  0.5675  0.4257  1 P 1.56
O  0.3445  0.9188  0.2769  1 P 1.56
O  0.9396  0.6915  0.7670  1 P 1.55
O  0.0604  0.3085  0.2330  1 P 1.55
O  0.6547  0.0911  0.9863  1 Mo 1.81
O  0.1555  0.4325  0.5743  1 P 1.56
O  0.3952  0.3316  0.4863  1 Mo 1.81
O  0.6012  0.1885  0.3281  1 Mo 1.78
O  0.6395  0.7269  0.8281  1 Mo 1.78
O  0.3581  0.5812  0.9257  1 P 1.56
O  0.0756  0.8085  0.7482  1 P 1.55
O  0.6555  0.0812  0.7231  1 P 1.56
O  0.4244  0.1726  0.7330  1 P 1.55
O  0.5604  0.3274  0.7518  1 P 1.55
O  0.1048  0.5911  0.9365  1 Mo 1.81
O  0.1395  0.3115  0.9127  1 Mo 1.78
O  0.5756  0.8274  0.2670  1 P 1.55
O  0.3605  0.2731  0.1719  1 Mo 1.78
O  0.8453  0.8316  0.4365  1 Mo 1.81
O  0.8952  0.4089  0.0635  1 Mo 1.81
O  0.3988  0.8115  0.6719  1 Mo 1.78
O  0.8988  0.2269  0.5873  1 Mo 1.78
O  0.6048  0.6684  0.5137  1 Mo 1.81
O  0.1547  0.1684  0.5635  1 Mo 1.81
O  0.8581  0.9325  0.7769  1 P 1.56
O  0.3453  0.9089  0.0137  1 Mo 1.81
O  0.8605  0.6885  0.0873  1 Mo 1.78
O  0.6419  0.4188  0.0743  1 P 1.56
O  0.4396  0.6726  0.2482  1 P 1.55
O  0.9244  0.1915  0.2518  1 P 1.55
O  0.1012  0.7731  0.4127  1 Mo 1.78
P  0.9312  0.7500  0.6812  4 O 1.55-1.56
P  0.0688  0.2500  0.3188  4 O 1.55-1.56
P  0.5688  0.2500  0.8188  4 O 1.55-1.56
P  0.4312  0.7500  0.1812  4 O 1.55-1.56
Mo  0.5730  0.8230  0.7500  4 O 1.78-1.81
Mo  0.0730  0.3230  0.7500  4 O 1.78-1.81
Mo  0.9270  0.6770  0.2500  4 O 1.78-1.81
Mo  0.4270  0.1770  0.2500  4 O 1.78-1.81
Er  0.3217  0.2500  0.5717  8 O 2.27-2.43
Er  0.6783  0.7500  0.4283  8 O 2.27-2.43
Er  0.1783  0.7500  0.9283  8 O 2.27-2.43
Er  0.8217  0.2500  0.0717  8 O 2.27-2.43


Entry 5:
A plane-wave DFT calculation with PBE+U was carried out for a relaxed NiN2F14 crystal.

## Properties
Energy relative to the elements: -0.97 eV per atom

Cell: 6.7838 6.7838 6.7838 Å, 119.04 119.04 91.67°
Closest atoms and distances in Å follow each position.
Fractional coordinates of all 17 atoms:
F  0.0274  0.7418  0.4322  1 N 1.34
F  0.8090  0.8090  0.0000  1 Ni 1.81
F  0.6904  0.4047  0.4322  1 N 1.34
F  0.8682  0.2282  0.0964  1 Ni 1.81
F  0.7718  0.8682  0.6401  1 Ni 1.81
F  0.7418  0.3096  0.7144  1 N 1.34
F  0.1910  0.1910  0.0000  1 Ni 1.81
F  0.5953  0.0274  0.2856  1 N 1.34
F  0.2282  0.1318  0.3599  1 Ni 1.81
F  0.2582  0.6904  0.2856  1 N 1.34
F  0.1318  0.7718  0.9036  1 Ni 1.81
F  0.4047  0.9726  0.7144  1 N 1.34
F  0.3096  0.5953  0.5678  1 N 1.34
F  0.9726  0.2582  0.5678  1 N 1.34
N  0.7500  0.2500  0.5000  4 F 1.34
N  0.2500  0.7500  0.5000  4 F 1.34
Ni  0.0000  0.0000  0.0000  6 F 1.81


Entry 6:
A plane-wave DFT calculation with PBE+U was carried out for a relaxed MgFe4O8 crystal.

## Properties
Energy relative to the elements: -1.64 eV per atom

Cell: 3.0278 5.1755 9.2634 Å, 90.23 90.00 90.00°
Closest atoms and distances in Å follow each position.
Fractional coordinates of all 13 atoms:
Fe  0.7500  0.0460  0.1544  6 O 1.96-2.17
Fe  0.2500  0.5563  0.3580  6 O 1.93-2.02
Fe  0.2500  0.9402  0.8559  6 O 2.01-2.11
Fe  0.7500  0.4256  0.6284  6 O 1.92-2.14
Mg  0.7500  0.4371  0.9304  4 O 1.96-2.16
O  0.7500  0.3852  0.2563  3 Fe 1.99
O  0.2500  0.2237  0.0196  2 Mg 2.05, 3 Fe 2.11-2.17
O  0.7500  0.6880  0.4828  3 Fe 1.92-2.02
O  0.2500  0.8700  0.2459  3 Fe 1.93-1.96
O  0.2500  0.5865  0.7647  3 Fe 2.01-2.14
O  0.7500  0.8055  0.9800  1 Mg 1.96, 3 Fe 2.03-2.04
O  0.7500  0.1411  0.7651  3 Fe 1.95-2.02, 1 Mg 2.16
O  0.2500  0.2976  0.5148  3 Fe 1.96-1.98